Entry 1:
An optimized crystal structure of Ca2Si5Pt3. Source: the Materials Project, functional PBE.

Cell: 8.2562 8.2562 8.2562 Å, 104.75 90.45 137.51°
Last column: nearest neighbours and their distance in Å.
Element x y z (fractional)
Ca 0.1290 0.2337 0.3627  10 Si 3.04-3.29, 4 Pt 3.13-3.30
Ca 0.3710 0.7337 0.1048  10 Si 3.04-3.29, 4 Pt 3.13-3.30
Ca 0.6290 0.2663 0.8952  10 Si 3.04-3.29, 4 Pt 3.13-3.30
Ca 0.8710 0.7663 0.6373  10 Si 3.04-3.29, 4 Pt 3.13-3.30
Si 0.0196 0.7500 0.2696  3 Pt 2.45-2.68, 2 Si 2.53
Si 0.1118 0.6497 0.7615  3 Pt 2.38-2.49, 2 Si 2.53
Si 0.2500 0.2500 0.0000  4 Pt 2.47
Si 0.3882 0.1497 0.5379  3 Pt 2.38-2.49, 2 Si 2.53
Si 0.4804 0.7500 0.7304  3 Pt 2.45-2.68, 2 Si 2.53
Si 0.5196 0.2500 0.2696  3 Pt 2.45-2.68, 2 Si 2.53
Si 0.6118 0.8503 0.4621  3 Pt 2.38-2.49, 2 Si 2.53
Si 0.7500 0.7500 0.0000  4 Pt 2.47
Si 0.8882 0.3503 0.2385  3 Pt 2.38-2.49, 2 Si 2.53
Si 0.9804 0.2500 0.7304  3 Pt 2.45-2.68, 2 Si 2.53
Pt 0.1358 0.8844 0.0202  5 Si 2.38-2.47
Pt 0.2500 0.7500 0.5000  6 Si 2.49-2.68
Pt 0.3642 0.3844 0.7487  5 Si 2.38-2.47
Pt 0.6358 0.6156 0.2513  5 Si 2.38-2.47
Pt 0.7500 0.2500 0.5000  6 Si 2.49-2.68
Pt 0.8642 0.1156 0.9798  5 Si 2.38-2.47

Values from the calculation:
Energy of formation from the pure elements (eV/atom): -0.824
Theoretical density (g/cm³): 7.63

Entry 2:
An optimized crystal structure of BaFe12. Source: the Materials Project, functional PBE.

Cell: 4.6610 4.6610 21.6047 Å, 90.00 90.00 120.00°
Last column: nearest neighbours and their distance in Å.
Element x y z (fractional)
Ba 0.3333 0.6667 0.0000  9 Fe 3.28-3.56
Ba 0.6667 0.3333 0.5000  9 Fe 3.28-3.56
Fe 0.0000 0.0000 0.2380  6 Fe 2.38-2.39
Fe 0.0000 0.0000 0.4133  3 Fe 2.32
Fe 0.0000 0.0000 0.7380  6 Fe 2.38-2.39
Fe 0.0000 0.0000 0.9133  3 Fe 2.32
Fe 0.1680 0.3361 0.1470  7 Fe 2.31-2.48
Fe 0.1680 0.8320 0.1470  7 Fe 2.31-2.48
Fe 0.1714 0.3428 0.8274  6 Fe 2.26-2.40
Fe 0.1714 0.8286 0.8274  6 Fe 2.26-2.40
Fe 0.3333 0.6667 0.2561  16 Fe 2.60-2.81
Fe 0.3333 0.6667 0.3767  10 Fe 2.56-2.81
Fe 0.3333 0.6667 0.6082  7 Fe 2.40-2.48
Fe 0.3333 0.6667 0.7191  4 Fe 2.40-2.68
Fe 0.3361 0.1680 0.6470  7 Fe 2.31-2.48
Fe 0.3428 0.1714 0.3274  6 Fe 2.26-2.40
Fe 0.6572 0.8286 0.8274  6 Fe 2.26-2.40
Fe 0.6639 0.8320 0.1470  7 Fe 2.31-2.48
Fe 0.6667 0.3333 0.1082  7 Fe 2.40-2.48
Fe 0.6667 0.3333 0.2191  4 Fe 2.40-2.68
Fe 0.6667 0.3333 0.7561  16 Fe 2.60-2.81
Fe 0.6667 0.3333 0.8767  10 Fe 2.56-2.81
Fe 0.8286 0.1714 0.3274  6 Fe 2.26-2.40
Fe 0.8286 0.6572 0.3274  6 Fe 2.26-2.40
Fe 0.8320 0.1680 0.6470  7 Fe 2.31-2.48
Fe 0.8320 0.6639 0.6470  7 Fe 2.31-2.48

Values from the calculation:
Energy of formation from the pure elements (eV/atom): 0.352
Theoretical density (g/cm³): 6.60

> Which of these has the lowest theoretical density?

BaFe12